No. 1
{"formula": "MnGa2Cu3Se6", "functional": "PBE", "state": "optimized geometry", "lattice_angstrom": [[0.000, 5.609, 12.011], [4.005, 0.000, 12.011], [4.005, 5.609, 0.000]], "species": ["Mn", "Mn", "Ga", "Ga", "Ga", "Ga", "Cu", "Cu", "Cu", "Cu", "Cu", "Cu", "Se", "Se", "Se", "Se", "Se", "Se", "Se", "Se", "Se", "Se", "Se", "Se"], "fractional_positions": [[0.417, 0.083, 0.417], [0.167, 0.833, 0.167], [0.752, 0.414, 0.082], [0.082, 0.752, 0.752], [0.498, 0.168, 0.836], [0.836, 0.498, 0.498], [0.584, 0.249, 0.248], [0.918, 0.582, 0.918], [0.248, 0.919, 0.584], [0.001, 0.666, 0.331], [0.331, 0.002, 0.001], [0.668, 0.332, 0.668], [0.706, 0.630, 0.877], [0.040, 0.962, 0.545], [0.373, 0.296, 0.210], [0.210, 0.121, 0.373], [0.545, 0.454, 0.040], [0.877, 0.788, 0.706], [0.288, 0.210, 0.796], [0.620, 0.544, 0.462], [0.954, 0.877, 0.129], [0.462, 0.373, 0.620], [0.796, 0.705, 0.288], [0.129, 0.040, 0.954]], "e_tot_ha_per_atom": -0.164, "delta_e_f_kj_per_mol_atoms": -64, "vol_a3_per_atom": 22.48}

No. 2
{"formula": "Y2Si2O7", "functional": "PBE", "state": "optimized geometry", "lattice_angstrom": [[-4.663, 3.851, -2.819], [-4.150, -1.767, 4.973], [4.642, 9.551, 5.980]], "species": ["Y", "Y", "Y", "Y", "Y", "Y", "Y", "Y", "Si", "Si", "Si", "Si", "Si", "Si", "Si", "Si", "O", "O", "O", "O", "O", "O", "O", "O", "O", "O", "O", "O", "O", "O", "O", "O", "O", "O", "O", "O", "O", "O", "O", "O", "O", "O", "O", "O"], "fractional_positions": [[0.116, 0.092, 0.357], [0.329, 0.828, 0.108], [0.630, 0.783, 0.366], [0.884, 0.908, 0.643], [0.671, 0.172, 0.892], [0.370, 0.217, 0.634], [0.948, 0.670, 0.885], [0.052, 0.330, 0.115], [0.486, 0.665, 0.824], [0.846, 0.853, 0.115], [0.514, 0.335, 0.176], [0.154, 0.147, 0.885], [0.144, 0.628, 0.380], [0.856, 0.372, 0.620], [0.622, 0.275, 0.406], [0.378, 0.725, 0.594], [0.286, 0.577, 0.488], [0.235, 0.085, 0.004], [0.401, 0.568, 0.694], [0.038, 0.228, 0.578], [0.384, 0.138, 0.211], [0.654, 0.790, 0.186], [0.002, 0.983, 0.816], [0.001, 0.669, 0.081], [0.701, 0.297, 0.095], [0.346, 0.210, 0.814], [0.076, 0.418, 0.311], [0.228, 0.904, 0.623], [0.644, 0.510, 0.873], [0.587, 0.826, 0.553], [0.765, 0.915, 0.996], [0.998, 0.017, 0.184], [0.924, 0.582, 0.689], [0.962, 0.772, 0.422], [0.772, 0.096, 0.377], [0.599, 0.432, 0.306], [0.413, 0.174, 0.447], [0.616, 0.862, 0.789], [0.712, 0.216, 0.687], [0.714, 0.423, 0.512], [0.288, 0.784, 0.313], [0.356, 0.490, 0.127], [0.299, 0.703, 0.905], [0.999, 0.331, 0.919]], "e_tot_ha_per_atom": -0.313, "delta_e_f_kj_per_mol_atoms": -351, "m_tot_mub_per_cell": 0.0, "vol_a3_per_atom": 12.36}

No. 3
{"formula": "Re3Te4C3N3", "functional": "PBE", "state": "optimized geometry", "lattice_angstrom": [[-3.181, -5.356, 9.137], [-4.327, -7.981, -6.185], [16.272, -10.036, -0.217]], "species": ["Re", "Re", "Re", "Re", "Re", "Re", "Re", "Re", "Re", "Re", "Re", "Re", "Te", "Te", "Te", "Te", "Te", "Te", "Te", "Te", "Te", "Te", "Te", "Te", "Te", "Te", "Te", "Te", "C", "C", "C", "C", "C", "C", "C", "C", "C", "C", "C", "C", "N", "N", "N", "N", "N", "N", "N", "N", "N", "N", "N", "N"], "fractional_positions": [[0.428, 0.599, 0.926], [0.072, 0.099, 0.426], [0.572, 0.401, 0.074], [0.928, 0.901, 0.574], [0.626, 0.618, 0.009], [0.874, 0.118, 0.509], [0.374, 0.382, 0.991], [0.126, 0.882, 0.491], [0.405, 0.582, 0.067], [0.095, 0.082, 0.567], [0.595, 0.418, 0.933], [0.905, 0.918, 0.433], [0.205, 0.563, 0.985], [0.295, 0.063, 0.485], [0.795, 0.437, 0.015], [0.705, 0.937, 0.515], [0.650, 0.637, 0.866], [0.850, 0.137, 0.366], [0.350, 0.363, 0.134], [0.150, 0.863, 0.634], [0.398, 0.400, 0.849], [0.102, 0.900, 0.349], [0.602, 0.600, 0.151], [0.898, 0.100, 0.651], [0.460, 0.801, 0.001], [0.040, 0.301, 0.501], [0.540, 0.199, 0.999], [0.960, 0.699, 0.499], [0.349, 0.709, 0.847], [0.151, 0.209, 0.347], [0.651, 0.291, 0.153], [0.849, 0.791, 0.653], [0.765, 0.744, 0.018], [0.735, 0.244, 0.518], [0.235, 0.256, 0.982], [0.265, 0.756, 0.482], [0.305, 0.676, 0.140], [0.195, 0.176, 0.640], [0.695, 0.324, 0.860], [0.805, 0.824, 0.360], [0.302, 0.771, 0.802], [0.198, 0.271, 0.302], [0.698, 0.229, 0.198], [0.802, 0.729, 0.698], [0.845, 0.815, 0.023], [0.655, 0.315, 0.523], [0.155, 0.185, 0.977], [0.345, 0.685, 0.477], [0.250, 0.729, 0.181], [0.250, 0.229, 0.681], [0.750, 0.271, 0.819], [0.750, 0.771, 0.319]], "e_tot_ha_per_atom": -0.279, "delta_e_f_kj_per_mol_atoms": 21, "m_tot_mub_per_cell": 8.0, "vol_a3_per_atom": 44.60}

No. 4
{"formula": "La2S3", "functional": "PBE", "state": "optimized geometry", "lattice_angstrom": [[4.161, 0.000, 0.000], [0.000, 7.617, 0.000], [0.000, 0.000, 15.884]], "species": ["La", "La", "La", "La", "La", "La", "La", "La", "S", "S", "S", "S", "S", "S", "S", "S", "S", "S", "S", "S"], "fractional_positions": [[0.250, 0.147, 0.795], [0.750, 0.853, 0.205], [0.250, 0.647, 0.705], [0.750, 0.353, 0.295], [0.250, 0.764, 0.456], [0.750, 0.236, 0.544], [0.250, 0.264, 0.044], [0.750, 0.736, 0.956], [0.250, 0.371, 0.433], [0.750, 0.629, 0.567], [0.250, 0.871, 0.067], [0.750, 0.129, 0.933], [0.250, 0.145, 0.220], [0.750, 0.855, 0.780], [0.250, 0.645, 0.280], [0.750, 0.355, 0.720], [0.750, 0.488, 0.109], [0.250, 0.512, 0.891], [0.750, 0.988, 0.391], [0.250, 0.012, 0.609]], "e_tot_ha_per_atom": -0.244, "delta_e_f_kj_per_mol_atoms": -241, "vol_a3_per_atom": 25.17}

No. 5
{"formula": "TaO", "functional": "PBE", "state": "optimized geometry", "lattice_angstrom": [[1.091, 0.797, 2.887], [3.111, 0.542, 0.434], [1.040, 2.962, 0.548]], "species": ["Ta", "O"], "fractional_positions": [[0.500, 0.500, 0.500], [0.000, 0.000, 0.000]], "e_tot_ha_per_atom": -0.341, "delta_e_f_kj_per_mol_atoms": -119, "m_tot_mub_per_cell": 0.0, "vol_a3_per_atom": 11.45}

No. 6
{"formula": "Cu2SeO4", "functional": "PBE", "state": "optimized geometry", "lattice_angstrom": [[-4.233, 6.731, 4.283], [-7.180, -5.328, 1.278], [3.479, -2.806, 7.848]], "species": ["Cu", "Cu", "Cu", "Cu", "Cu", "Cu", "Cu", "Cu", "Cu", "Cu", "Cu", "Cu", "Cu", "Cu", "Cu", "Cu", "Se", "Se", "Se", "Se", "Se", "Se", "Se", "Se", "O", "O", "O", "O", "O", "O", "O", "O", "O", "O", "O", "O", "O", "O", "O", "O", "O", "O", "O", "O", "O", "O", "O", "O", "O", "O", "O", "O", "O", "O", "O", "O"], "fractional_positions": [[0.878, 0.374, 0.368], [0.874, 0.132, 0.122], [0.126, 0.632, 0.378], [0.132, 0.122, 0.874], [0.622, 0.626, 0.868], [0.632, 0.378, 0.126], [0.626, 0.868, 0.622], [0.868, 0.622, 0.626], [0.882, 0.882, 0.882], [0.374, 0.368, 0.878], [0.368, 0.878, 0.374], [0.382, 0.618, 0.118], [0.122, 0.874, 0.132], [0.118, 0.382, 0.618], [0.378, 0.126, 0.632], [0.618, 0.118, 0.382], [0.289, 0.789, 0.711], [0.541, 0.959, 0.041], [0.789, 0.711, 0.289], [0.211, 0.211, 0.211], [0.459, 0.459, 0.459], [0.041, 0.541, 0.959], [0.711, 0.289, 0.789], [0.959, 0.041, 0.541], [0.509, 0.491, 0.991], [0.688, 0.470, 0.730], [0.030, 0.270, 0.188], [0.240, 0.260, 0.740], [0.991, 0.509, 0.491], [0.270, 0.188, 0.030], [0.483, 0.468, 0.267], [0.032, 0.733, 0.983], [0.470, 0.730, 0.688], [0.491, 0.991, 0.509], [0.812, 0.530, 0.230], [0.468, 0.267, 0.483], [0.017, 0.532, 0.767], [0.312, 0.970, 0.770], [0.530, 0.230, 0.812], [0.770, 0.312, 0.970], [0.970, 0.770, 0.312], [0.983, 0.032, 0.733], [0.188, 0.030, 0.270], [0.009, 0.009, 0.009], [0.733, 0.983, 0.032], [0.517, 0.968, 0.233], [0.532, 0.767, 0.017], [0.730, 0.688, 0.470], [0.230, 0.812, 0.530], [0.740, 0.240, 0.260], [0.968, 0.233, 0.517], [0.767, 0.017, 0.532], [0.260, 0.740, 0.240], [0.760, 0.760, 0.760], [0.233, 0.517, 0.968], [0.267, 0.483, 0.468]], "e_tot_ha_per_atom": -0.189, "delta_e_f_kj_per_mol_atoms": -101, "m_tot_mub_per_cell": 8.0, "vol_a3_per_atom": 13.16}